(1)
Here is an optimized crystal structure of K2Ge4O9 from the Materials Project database. Energies are from PBE.

Values from the calculation:
E (MP2020) = -6.521 eV per atom
Calculated formation energy = -2172 meV/atom
V = 13.9 Å³ per atom

```
K2Ge4O9
1.0
6.027 -10.440 0.000
6.027 10.440 0.000
0.000 0.000 9.960
K Ge O
12 24 54
Cartesian
4.022 6.926 9.245
10.014 3.494 9.245
4.046 0.020 9.245
2.040 3.494 4.265
8.033 6.926 4.265
8.009 0.020 4.265
8.033 -6.926 0.715
2.040 -3.494 0.715
8.009 -0.020 0.715
10.014 -3.494 5.695
4.022 -6.926 5.695
4.046 -0.020 5.695
0.000 0.000 0.000
0.000 0.000 4.980
4.964 8.597 2.490
4.964 -8.597 2.490
2.127 0.000 2.490
1.064 1.842 7.470
1.064 -1.842 7.470
9.927 0.000 7.470
4.914 5.367 2.135
8.218 3.500 2.135
4.949 1.573 2.135
3.837 3.500 7.115
7.140 5.367 7.115
7.105 1.573 7.115
7.140 -5.367 7.825
3.837 -3.500 7.825
7.105 -1.573 7.825
8.218 -3.500 2.845
4.914 -5.367 2.845
4.949 -1.573 2.845
6.027 3.480 4.603
6.027 3.480 9.583
6.027 -3.480 5.357
6.027 -3.480 0.377
10.667 -0.736 1.147
6.083 -8.870 1.147
1.331 -0.833 1.147
5.971 -8.870 6.127
1.387 -0.736 6.127
10.723 -0.833 6.127
1.387 0.736 8.813
5.971 8.870 8.813
10.723 0.833 8.813
6.083 8.870 3.833
10.667 0.736 3.833
1.331 0.833 3.833
5.437 7.040 1.675
9.406 2.210 1.675
3.239 1.189 1.675
2.649 2.210 6.655
6.617 7.040 6.655
8.816 1.189 6.655
6.617 -7.040 8.285
2.649 -2.210 8.285
8.816 -1.189 8.285
9.406 -2.210 3.305
5.437 -7.040 3.305
3.239 -1.189 3.305
5.959 5.056 3.505
7.426 2.751 3.505
4.696 2.633 3.505
4.628 2.751 8.485
6.095 5.056 8.485
7.358 2.633 8.485
6.095 -5.056 6.454
4.628 -2.751 6.454
7.358 -2.633 6.454
7.426 -2.751 1.475
5.959 -5.056 1.475
4.696 -2.633 1.475
4.734 4.376 0.697
7.449 4.152 0.697
5.898 1.912 0.697
4.605 4.152 5.677
7.320 4.376 5.677
6.157 1.912 5.677
7.320 -4.376 9.263
4.605 -4.152 9.263
6.157 -1.912 9.263
7.449 -4.152 4.283
4.734 -4.376 4.283
5.898 -1.912 4.283
3.155 5.464 2.490
3.155 -5.464 2.490
5.745 0.000 2.490
2.872 4.975 7.470
2.872 -4.975 7.470
6.310 0.000 7.470
```

---

(2)
Here is an optimized crystal structure of Tb2Zr2O7 from the Materials Project database. Energies are from PBE.

Values from the calculation:
E (MP2020) = -9.414 eV per atom
Calculated formation energy = -3869 meV/atom
V = 13.6 Å³ per atom

```
Tb2Zr2O7
1.0
-4.555 -5.669 1.860
-1.422 -1.456 7.225
-6.797 1.426 2.849
Tb Zr O
4 4 14
Cartesian
-7.984 -3.562 7.458
-5.706 -0.728 6.529
-7.273 -2.834 3.846
-4.585 -4.275 6.034
-4.995 0.001 2.916
-2.308 -1.441 5.104
-3.874 -3.547 2.422
-1.597 -0.712 1.492
-6.387 -2.850 5.967
-9.580 -4.274 8.950
-7.430 -1.244 8.305
-6.620 -0.415 4.192
-9.213 -3.643 5.251
-6.154 -5.284 7.742
-3.560 -2.056 6.683
-2.405 -2.639 1.215
-5.344 -4.455 3.629
-1.055 -0.825 3.525
-5.332 -2.025 2.442
-3.017 -3.266 4.326
-3.370 0.417 1.641
-3.982 -0.211 4.752
```

---

(3)
Here is an optimized crystal structure of KB11H13C2NO from the Materials Project database. Energies are from PBE.

Values from the calculation:
E (MP2020) = -5.515 eV per atom
Calculated formation energy = -328 meV/atom
V = 12.0 Å³ per atom

```
KB11H13C2NO
1.0
5.772 5.048 0.000
5.772 -5.048 0.000
2.082 0.000 -11.956
K B H C N O
2 22 26 4 2 2
Cartesian
3.170 0.000 -2.015
10.457 0.000 -9.941
5.864 0.000 -10.454
7.762 0.000 -1.502
3.167 0.000 -9.502
10.460 0.000 -2.454
5.286 -0.892 -7.789
5.286 0.892 -7.789
8.341 0.892 -4.167
8.341 -0.892 -4.167
6.456 0.000 -8.770
7.170 0.000 -3.186
4.325 -0.892 -10.499
4.325 0.892 -10.499
9.301 0.892 -1.458
9.301 -0.892 -1.458
3.980 -1.443 -8.856
3.980 1.443 -8.856
9.646 1.443 -3.100
9.646 -1.443 -3.100
5.645 -1.442 -9.436
5.645 1.442 -9.436
7.982 1.442 -2.520
7.982 -1.442 -2.520
1.869 0.000 -7.122
11.758 0.000 -4.835
4.302 0.000 -5.420
9.325 0.000 -6.536
6.624 0.000 -11.384
7.003 0.000 -0.572
1.977 0.000 -9.574
11.650 0.000 -2.382
5.490 -1.479 -6.772
5.490 1.479 -6.772
8.137 1.479 -5.184
8.137 -1.479 -5.184
7.619 0.000 -8.477
6.008 0.000 -3.479
3.952 -1.528 -11.442
3.952 1.528 -11.442
9.675 1.528 -0.514
9.675 -1.528 -0.514
9.088 2.675 -8.515
9.088 -2.675 -8.515
4.539 -2.675 -3.441
4.539 2.675 -3.441
6.227 -2.474 -9.610
6.227 2.474 -9.610
7.400 2.474 -2.346
7.400 -2.474 -2.346
3.825 0.000 -7.936
9.802 0.000 -4.020
3.208 0.000 -5.569
10.419 0.000 -6.387
2.865 0.000 -6.868
10.762 0.000 -5.088
2.402 0.000 -4.618
11.225 0.000 -7.338
```

---

(4)
Here is an optimized crystal structure of PmGd3 from the Materials Project database. Energies are from PBE.

Values from the calculation:
Calculated formation energy = 23 meV/atom
V = 32.2 Å³ per atom

```
PmGd3
1.0
5.053 0.000 0.000
0.000 5.053 0.000
0.000 0.000 5.053
Pm Gd
1 3
Cartesian
0.000 0.000 0.000
2.526 2.526 0.000
2.526 0.000 2.526
0.000 2.526 2.526
```

---

no.,density (g/cm³)
1,4.08
2,6.80
3,1.07
4,7.94